Entry 1:
First-principles (GGA+U) data for LiV6O15 after structural relaxation, as listed in Materials Project.

abc: 7.9357 7.9357 10.3270
angles: 108.99 108.99 26.58
Last column: nearest neighbours and their distance in Å.
Fractional positions:
Li 0.0000 0.0000 0.0000  2 O 2.17
V 0.1309 0.1309 0.6292  1 O 1.62
V 0.3065 0.3065 0.9310  1 O 1.67
V 0.3461 0.3461 0.6165  1 O 1.61
V 0.6721 0.6721 0.4028  1 O 1.61
V 0.7248 0.7248 0.0992  1 O 1.64
V 0.8954 0.8954 0.3982  2 O 1.63-1.79
O 0.0122 0.0122 0.5106  2 V 1.79-1.83
O 0.1194 0.1194 0.7797  1 V 1.62
O 0.1931 0.1931 0.4535  2 V 1.90
O 0.2570 0.2570 0.0913  3 V 1.90-2.04
O 0.2737 0.2737 0.7270  2 V 1.85-2.00
O 0.3756 0.3756 0.4363  3 V 1.91-2.06
O 0.4212 0.4212 0.9839  1 V 1.67
O 0.4478 0.4478 0.7294  1 V 1.61
O 0.5714 0.5714 0.2883  1 V 1.61
O 0.6125 0.6125 0.0374  1 V 1.64
O 0.6452 0.6452 0.5830  3 V 1.92-2.04
O 0.7458 0.7458 0.2884  2 V 1.87-1.89
O 0.7670 0.7670 0.9408  3 V 1.94-1.95
O 0.8260 0.8260 0.5592  2 V 1.91
O 0.9009 0.9009 0.2429  1 V 1.63

Space group: Cm, No. 8
Calculated total energy in eV/atom: -7.314

Entry 2:
First-principles (GGA+U) data for Li4V7O12 after structural relaxation, as listed in Materials Project.

abc: 5.2097 8.9268 9.8937
angles: 90.00 100.25 90.00
Last column: nearest neighbours and their distance in Å.
Fractional positions:
Li 0.0043 0.0000 0.2435  6 O 2.08-2.22
Li 0.2551 0.0054 0.9972  6 O 2.11-2.17
Li 0.4920 0.0101 0.7577  5 O 2.05-2.19
Li 0.4915 0.1689 0.2394  6 O 2.06-2.26
Li 0.5080 0.5101 0.2423  5 O 2.05-2.19
Li 0.5085 0.6689 0.7606  6 O 2.06-2.26
Li 0.7449 0.5054 0.0028  6 O 2.11-2.17
Li 0.9957 0.5000 0.7565  6 O 2.08-2.22
V 0.0082 0.8484 0.7572  6 O 2.00-2.15
V 0.2378 0.1715 0.5022  6 O 2.01-2.10
V 0.2412 0.6653 0.0028  6 O 1.99-2.16
V 0.2494 0.3314 0.9928  6 O 2.01-2.20
V 0.2513 0.5208 0.4966  6 O 2.07-2.13
V 0.2507 0.8329 0.4970  6 O 2.08-2.22
V 0.4855 0.8408 0.2459  6 O 1.98-2.16
V 0.5145 0.3408 0.7541  6 O 1.98-2.16
V 0.7487 0.0208 0.5034  6 O 2.07-2.13
V 0.7493 0.3329 0.5030  6 O 2.08-2.22
V 0.7506 0.8314 0.0072  6 O 2.01-2.20
V 0.7588 0.1653 0.9972  6 O 1.99-2.16
V 0.7622 0.6715 0.4978  6 O 2.01-2.10
V 0.9918 0.3484 0.2428  6 O 2.00-2.15
O 0.1166 0.1808 0.1180  3 V 2.03-2.11, 3 Li 2.11-2.18
O 0.1279 0.6781 0.6285  4 V 2.08-2.15, 2 Li 2.17-2.22
O 0.1301 0.0028 0.6164  4 V 2.02-2.14, 1 Li 2.14
O 0.1333 0.4875 0.1157  3 V 2.00-2.07, 2 Li 2.13-2.14
O 0.1415 0.8336 0.1232  3 V 1.98-2.15, 2 Li 2.11-2.13
O 0.1480 0.3459 0.6143  4 V 2.01-2.17, 1 Li 2.21
O 0.3504 0.3385 0.3795  4 V 2.07-2.22, 2 Li 2.26-2.29
O 0.3606 0.8279 0.8774  3 V 2.01-2.20, 3 Li 2.06-2.19
O 0.3674 0.4937 0.8749  3 V 2.02-2.16, 3 Li 2.08-2.14
O 0.3691 0.0091 0.3801  4 V 2.08-2.16, 2 Li 2.13-2.17
O 0.3981 0.6761 0.3752  4 V 2.05-2.08, 1 Li 2.13
O 0.4032 0.1768 0.8836  3 V 1.99-2.09, 2 Li 2.05-2.12
O 0.5968 0.6768 0.1164  3 V 1.99-2.09, 2 Li 2.05-2.12
O 0.6019 0.1761 0.6248  4 V 2.05-2.08, 1 Li 2.13
O 0.6309 0.5091 0.6199  4 V 2.08-2.16, 2 Li 2.13-2.17
O 0.6326 0.9937 0.1251  3 V 2.02-2.16, 3 Li 2.08-2.14
O 0.6394 0.3279 0.1226  3 V 2.01-2.20, 3 Li 2.06-2.19
O 0.6496 0.8385 0.6205  4 V 2.07-2.22, 2 Li 2.26-2.29
O 0.8520 0.8459 0.3857  4 V 2.01-2.17, 1 Li 2.21
O 0.8585 0.3336 0.8768  3 V 1.98-2.15, 2 Li 2.11-2.13
O 0.8667 0.9875 0.8843  3 V 2.00-2.07, 2 Li 2.13-2.14
O 0.8699 0.5028 0.3836  4 V 2.02-2.14, 1 Li 2.14
O 0.8721 0.1781 0.3715  4 V 2.08-2.15, 2 Li 2.17-2.22
O 0.8834 0.6808 0.8820  3 V 2.03-2.11, 3 Li 2.11-2.18

Space group: P2_1, No. 4
Calculated total energy in eV/atom: -7.212

Entry 3:
First-principles (GGA+U) data for Li3V12O29 after structural relaxation, as listed in Materials Project.

abc: 14.3464 14.3464 10.3806
angles: 103.83 103.83 14.81
Last column: nearest neighbours and their distance in Å.
Fractional positions:
Li 0.0000 0.0000 0.0000  3 O 1.98-2.18
Li 0.0137 0.0137 0.6510  3 O 1.98-2.17
Li 0.2742 0.2742 0.8436  4 O 1.91-2.10
V 0.0714 0.0714 0.4044  2 O 1.68-1.83
V 0.1539 0.1539 0.6652  2 O 1.63-1.81
V 0.1840 0.1840 0.3460  1 O 1.71
V 0.3111 0.3111 0.5356  1 O 1.67
V 0.3982 0.3982 0.7915  2 O 1.64-1.80
V 0.4225 0.4225 0.4686  1 O 1.68
V 0.5919 0.5919 0.1808  1 O 1.68
V 0.6162 0.6162 0.8578  2 O 1.64-1.82
V 0.7047 0.7047 0.1201  1 O 1.64
V 0.8300 0.8300 0.3086  3 O 1.76-1.93
V 0.8604 0.8604 0.9866  2 O 1.66-1.79
V 0.9437 0.9437 0.2461  2 O 1.68-1.78
O 0.0068 0.0068 0.3228  2 V 1.78-1.83
O 0.0683 0.0683 0.5637  1 V 1.68
O 0.1057 0.1057 0.2388  3 V 1.95-2.17
O 0.1305 0.1305 0.8348  3 V 1.92-2.03
O 0.1467 0.1467 0.4872  2 V 1.81-2.01
O 0.2002 0.2002 0.1630  3 V 1.91-2.06
O 0.2125 0.2125 0.7192  1 V 1.63
O 0.2415 0.2415 0.4445  1 V 1.71
O 0.3076 0.3076 0.6936  1 V 1.67
O 0.3424 0.3424 0.3600  2 V 1.93
O 0.3734 0.3734 0.9600  3 V 1.92-2.04
O 0.3863 0.3863 0.6129  2 V 1.80-2.01
O 0.4373 0.4373 0.2873  3 V 1.92-2.03
O 0.4575 0.4575 0.8411  1 V 1.64
O 0.4775 0.4775 0.5747  1 V 1.68
O 0.5369 0.5369 0.0747  1 V 1.68
O 0.5570 0.5570 0.8104  1 V 1.64
O 0.5762 0.5762 0.3621  3 V 1.91-2.04
O 0.6298 0.6298 0.0384  2 V 1.82-2.03
O 0.6390 0.6390 0.6902  3 V 1.93-2.00
O 0.6719 0.6719 0.2894  2 V 1.95
O 0.7077 0.7077 0.9643  1 V 1.64
O 0.7712 0.7712 0.2053  2 V 1.76-1.89
O 0.8009 0.8009 0.9267  1 V 1.66
O 0.8144 0.8144 0.4836  3 V 1.93-1.97
O 0.8662 0.8662 0.1624  1 V 1.79
O 0.8845 0.8845 0.8180  3 V 1.92-2.03
O 0.9083 0.9083 0.4101  3 V 1.96-2.18
O 0.9445 0.9445 0.0844  1 V 1.68

Space group: Cm, No. 8
Calculated total energy in eV/atom: -7.326

Question: What is the calculated total energy in the first record?
Answer: -7.314 eV/atom

Please write out number 1 again, unchanged.
First-principles (GGA+U) data for LiV6O15 after structural relaxation, as listed in Materials Project.

abc: 7.9357 7.9357 10.3270
angles: 108.99 108.99 26.58
Last column: nearest neighbours and their distance in Å.
Fractional positions:
Li 0.0000 0.0000 0.0000  2 O 2.17
V 0.1309 0.1309 0.6292  1 O 1.62
V 0.3065 0.3065 0.9310  1 O 1.67
V 0.3461 0.3461 0.6165  1 O 1.61
V 0.6721 0.6721 0.4028  1 O 1.61
V 0.7248 0.7248 0.0992  1 O 1.64
V 0.8954 0.8954 0.3982  2 O 1.63-1.79
O 0.0122 0.0122 0.5106  2 V 1.79-1.83
O 0.1194 0.1194 0.7797  1 V 1.62
O 0.1931 0.1931 0.4535  2 V 1.90
O 0.2570 0.2570 0.0913  3 V 1.90-2.04
O 0.2737 0.2737 0.7270  2 V 1.85-2.00
O 0.3756 0.3756 0.4363  3 V 1.91-2.06
O 0.4212 0.4212 0.9839  1 V 1.67
O 0.4478 0.4478 0.7294  1 V 1.61
O 0.5714 0.5714 0.2883  1 V 1.61
O 0.6125 0.6125 0.0374  1 V 1.64
O 0.6452 0.6452 0.5830  3 V 1.92-2.04
O 0.7458 0.7458 0.2884  2 V 1.87-1.89
O 0.7670 0.7670 0.9408  3 V 1.94-1.95
O 0.8260 0.8260 0.5592  2 V 1.91
O 0.9009 0.9009 0.2429  1 V 1.63

Space group: Cm, No. 8
Calculated total energy in eV/atom: -7.314

Question: Which of these has the lowest calculated total energy?
Answer: Li3V12O29

Question: What is the calculated total energy in the second record?
Answer: -7.212 eV/atom